VASP calculation (GGA+U) on a relaxed structure of VCrO3.

Calculated values
The formation enthalpy at 0 K is -2.44 eV per atom. The space group is P1. The value obtained for the total DFT energy (no corrections) is -160.1 eV for the cell shown. The value obtained for the density is 4.78 g/cm³.

Structure (POSCAR):
```
VCrO3
1.0
5.106 0.000 0.000
-2.552 4.869 0.000
-0.002 -2.677 8.432
V Cr O
4 4 12
Direct
0.000 0.000 0.000
0.052 0.106 0.348
0.554 0.106 0.852
0.803 0.604 0.599
0.254 0.505 0.749
0.299 0.599 0.100
0.502 0.004 0.500
0.752 0.508 0.252
0.002 0.305 0.898
0.052 0.801 0.148
0.055 0.805 0.451
0.099 0.802 0.800
0.456 0.306 0.052
0.499 0.302 0.701
0.502 0.303 0.398
0.552 0.799 0.951
0.553 0.804 0.648
0.596 0.802 0.300
0.955 0.302 0.549
0.999 0.307 0.201
```